No. 1
Mg3Cr after structural relaxation, computed with PBE.

Results
- space group = No. 139
- uncorrected energy (eV per atom) = -3.35
- calculated volume (Å³/f.u.) = 83
- magnetization (μB per cell) = 4.2
- E_form (kJ/mol of atoms) = 25.27

abc: 5.342 5.342 5.342
angles: 131.97 131.97 70.28
Fractional coordinates of all 4 atoms:
1 Mg 0.500 0.500 0.000
2 Mg 0.250 0.750 0.500
3 Mg 0.750 0.250 0.500
4 Cr 0.000 0.000 0.000

No. 2
Mg3Cr after structural relaxation, computed with PBE.

Results
- space group = No. 25
- uncorrected energy (eV per atom) = -3.32
- calculated volume (Å³/f.u.) = 83
- E_form (kJ/mol of atoms) = 28.39

abc: 3.145 4.956 5.327
angles: 90.00 90.00 90.00
Fractional coordinates of all 4 atoms:
1 Mg 0.000 0.000 0.665
2 Mg 0.000 0.500 0.327
3 Mg 0.500 0.500 0.840
4 Cr 0.500 0.000 0.168

No. 3
Mg3Cr after structural relaxation, computed with PBE.

Results
- space group = No. 194
- uncorrected energy (eV per atom) = -3.35
- calculated volume (Å³/f.u.) = 83
- magnetization (μB per cell) = 7.8
- E_form (kJ/mol of atoms) = 25.47

abc: 6.187 6.187 4.982
angles: 90.00 90.00 120.00
Fractional coordinates of all 8 atoms:
1 Cr 0.667 0.333 0.250
2 Cr 0.333 0.667 0.750
3 Mg 0.658 0.829 0.250
4 Mg 0.171 0.342 0.250
5 Mg 0.829 0.171 0.750
6 Mg 0.342 0.171 0.750
7 Mg 0.829 0.658 0.750
8 Mg 0.171 0.829 0.250

No. 4
Mg2MnCr3S8 after structural relaxation, computed with PBE.

Results
- space group = No. 166
- uncorrected energy (eV per atom) = -6.17
- calculated volume (Å³/f.u.) = 269
- magnetization (μB per cell) = 13.0
- E_form (kJ/mol of atoms) = -110.54

abc: 7.236 7.238 7.233
angles: 60.15 60.18 60.14
Fractional coordinates of all 14 atoms:
1 Mg 0.124 0.124 0.124
2 Mg 0.876 0.876 0.876
3 S 0.260 0.711 0.261
4 S 0.260 0.260 0.712
5 S 0.263 0.263 0.263
6 S 0.711 0.260 0.261
7 S 0.737 0.737 0.737
8 S 0.739 0.289 0.739
9 S 0.289 0.739 0.739
10 S 0.740 0.740 0.288
11 Cr 0.000 0.500 0.500
12 Cr 0.500 0.500 0.000
13 Cr 0.500 0.000 0.500
14 Mn 0.500 0.500 0.500

No. 5
Mg2Mn3CrS8 after structural relaxation, computed with PBE.

Results
- space group = No. 166
- uncorrected energy (eV per atom) = -6.03
- calculated volume (Å³/f.u.) = 273
- magnetization (μB per cell) = 15.0
- E_form (kJ/mol of atoms) = -103.56

abc: 7.280 7.278 7.279
angles: 59.98 59.99 59.99
Fractional coordinates of all 14 atoms:
1 Cr 0.500 0.000 0.500
2 S 0.287 0.744 0.735
3 S 0.738 0.287 0.737
4 S 0.262 0.713 0.263
5 S 0.735 0.744 0.735
6 S 0.265 0.256 0.265
7 S 0.735 0.744 0.287
8 S 0.713 0.256 0.265
9 S 0.265 0.256 0.713
10 Mn 0.500 0.500 0.000
11 Mn 0.500 0.500 0.500
12 Mn 0.000 0.500 0.500
13 Mg 0.874 0.877 0.874
14 Mg 0.126 0.123 0.126

No. 6
MgMnCrS4 after structural relaxation, computed with PBE.

Results
- space group = No. 74
- uncorrected energy (eV per atom) = -6.11
- calculated volume (Å³/f.u.) = 135
- magnetization (μB per cell) = 14.0
- E_form (kJ/mol of atoms) = -107.65

abc: 7.252 7.253 7.253
angles: 60.05 60.03 60.03
Fractional coordinates of all 14 atoms:
1 Cr 0.500 0.500 0.000
2 Cr 0.500 0.000 0.500
3 S 0.265 0.258 0.713
4 S 0.732 0.740 0.740
5 S 0.268 0.260 0.260
6 S 0.265 0.713 0.258
7 S 0.735 0.287 0.742
8 S 0.735 0.742 0.287
9 S 0.288 0.740 0.740
10 S 0.712 0.260 0.260
11 Mg 0.126 0.124 0.124
12 Mg 0.874 0.876 0.876
13 Mn 0.500 0.500 0.500
14 Mn 0.000 0.500 0.500